A plane-wave DFT calculation with GGA+U was carried out for a relaxed FeOF crystal.

Unit cell a=9.520 b=3.072 c=14.193 alpha=90.00 beta=90.35 gamma=90.00
Space group Pm (No. 6)
Unique sites:
Fe: 0.000 0.000 0.000
Fe: 0.001 0.000 0.337
Fe: 0.243 0.500 0.193
Fe: 0.249 0.500 0.857
Fe: 0.256 0.500 0.517
Fe: 0.492 0.000 0.664
Fe: 0.500 0.000 0.331
Fe: 0.504 0.000 0.997
Fe: 0.744 0.500 0.527
Fe: 0.754 0.500 0.193
Fe: 0.755 0.500 0.853
Fe: 0.972 0.000 0.684
O: 0.147 0.000 0.248
O: 0.155 0.000 0.910
O: 0.399 0.500 0.612
O: 0.402 0.500 0.282
O: 0.405 0.500 0.947
O: 0.645 0.000 0.578
O: 0.654 0.000 0.908
O: 0.655 0.000 0.244
O: 0.840 0.000 0.784
O: 0.902 0.500 0.953
O: 0.903 0.500 0.614
O: 0.909 0.500 0.283
F: 0.097 0.500 0.412
F: 0.098 0.500 0.744
F: 0.101 0.500 0.081
F: 0.150 0.000 0.580
F: 0.343 0.000 0.117
F: 0.346 0.000 0.776
F: 0.350 0.000 0.445
F: 0.582 0.500 0.735
F: 0.597 0.500 0.412
F: 0.600 0.500 0.078
F: 0.845 0.000 0.447
F: 0.849 0.000 0.115

***

A plane-wave DFT calculation with GGA+U was carried out for a relaxed Rb2CrCl5O crystal.

Unit cell a=14.152 b=10.194 c=7.139 alpha=90.00 beta=90.00 gamma=90.00
Space group Pnma (No. 62)
Unique sites:
Rb: 0.141 0.001 0.196
Cr: 0.101 0.750 0.691
Cl: 0.003 0.750 0.954
Cl: 0.110 0.520 0.706
Cl: 0.225 0.750 0.470
Cl: 0.233 0.750 0.924
O: 0.019 0.750 0.536

***

A plane-wave DFT calculation with GGA+U was carried out for a relaxed Li6V3P8O29 crystal.

Unit cell a=9.798 b=9.799 c=13.926 alpha=89.74 beta=89.71 gamma=60.19
Space group P1 (No. 1)
Unique sites:
Li: 0.000 0.000 0.000
Li: 0.002 0.558 0.443
Li: 0.333 0.757 0.324
Li: 0.356 0.886 0.825
Li: 0.431 0.992 0.443
Li: 0.442 0.568 0.945
Li: 0.570 0.422 0.445
Li: 0.578 0.978 0.945
Li: 0.699 0.615 0.376
Li: 0.754 0.353 0.829
Li: 0.764 0.896 0.324
Li: 0.889 0.742 0.824
V: 0.098 0.229 0.137
V: 0.099 0.660 0.635
V: 0.226 0.102 0.634
V: 0.227 0.663 0.134
V: 0.663 0.101 0.138
V: 0.666 0.229 0.636
P: 0.000 0.993 0.256
P: 0.332 0.329 0.513
P: 0.334 0.328 0.015
P: 0.347 0.892 0.042
P: 0.351 0.749 0.542
P: 0.433 0.573 0.727
P: 0.437 0.975 0.229
P: 0.576 0.439 0.229
P: 0.578 0.980 0.726
P: 0.754 0.890 0.542
P: 0.758 0.344 0.045
P: 0.889 0.356 0.542
P: 0.892 0.756 0.041
P: 0.977 0.576 0.225
P: 0.981 0.432 0.729
P: 0.999 0.995 0.757
O: 0.001 0.580 0.725
O: 0.002 0.410 0.222
O: 0.005 0.982 0.362
O: 0.005 0.993 0.865
O: 0.035 0.782 0.061
O: 0.045 0.199 0.551
O: 0.133 0.577 0.216
O: 0.143 0.285 0.710
O: 0.150 0.994 0.715
O: 0.154 0.847 0.213
O: 0.175 0.472 0.552
O: 0.180 0.034 0.058
O: 0.194 0.318 0.062
O: 0.194 0.752 0.557
O: 0.283 0.131 0.219
O: 0.286 0.559 0.708
O: 0.330 0.481 0.055
O: 0.330 0.915 0.542
O: 0.333 0.323 0.406
O: 0.334 0.741 0.039
O: 0.342 0.173 0.556
O: 0.344 0.322 0.909
O: 0.410 0.583 0.223
O: 0.414 0.997 0.727
O: 0.419 0.664 0.817
O: 0.425 0.910 0.953
O: 0.440 0.880 0.316
O: 0.441 0.658 0.454
O: 0.455 0.872 0.133
O: 0.457 0.662 0.636
O: 0.476 0.340 0.553
O: 0.486 0.181 0.060
O: 0.567 0.141 0.706
O: 0.574 0.284 0.219
O: 0.582 0.995 0.229
O: 0.583 0.409 0.728
O: 0.655 0.448 0.319
O: 0.661 0.418 0.957
O: 0.667 0.887 0.454
O: 0.668 0.453 0.136
O: 0.668 0.868 0.636
O: 0.670 0.906 0.816
O: 0.742 0.920 0.043
O: 0.747 0.325 0.546
O: 0.759 0.043 0.555
O: 0.778 0.177 0.061
O: 0.851 0.149 0.720
O: 0.851 0.988 0.216
O: 0.870 0.457 0.637
O: 0.872 0.666 0.132
O: 0.874 0.458 0.458
O: 0.885 0.663 0.314
O: 0.898 0.424 0.817
O: 0.911 0.667 0.951
O: 0.921 0.744 0.543
O: 0.922 0.324 0.043
O: 0.994 0.849 0.717
O: 0.997 0.140 0.210

Values from the calculation:
Energy above the most stable polymorph in this dataset ... 0.39 eV per formula unit

***

A plane-wave DFT calculation with GGA+U was carried out for a relaxed Li2Co4O3F8 crystal.

Unit cell a=5.054 b=6.539 c=6.841 alpha=108.76 beta=104.14 gamma=96.74
Space group P-1 (No. 2)
Unique sites:
Li: 0.178 0.184 0.405
Co: 0.154 0.623 0.228
Co: 0.402 0.248 0.969
O: 0.238 0.536 0.956
O: 0.500 0.000 0.000
F: 0.007 0.890 0.193
F: 0.121 0.707 0.501
F: 0.305 0.350 0.249
F: 0.446 0.199 0.667

Values from the calculation:
Energy above the most stable polymorph in this dataset ... 0.00 eV per formula unit

***

A plane-wave DFT calculation with GGA+U was carried out for a relaxed LiCrSi2O6 crystal.

Unit cell a=5.282 b=18.171 c=8.749 alpha=90.00 beta=90.00 gamma=90.00
Space group Pbca (No. 61)
Unique sites:
Li: 0.128 0.123 0.009
Cr: 0.125 0.125 0.655
Si: 0.050 0.726 0.159
Si: 0.205 0.027 0.338
O: 0.044 0.691 0.991
O: 0.047 0.683 0.666
O: 0.085 0.553 0.208
O: 0.179 0.196 0.230
O: 0.202 0.565 0.832
O: 0.210 0.564 0.496

Values from the calculation:
Energy above the most stable polymorph in this dataset ... 0.01 eV per formula unit

***

A plane-wave DFT calculation with GGA+U was carried out for a relaxed KFe4Si3O12 crystal.

Unit cell a=5.397 b=5.399 c=10.556 alpha=94.81 beta=95.78 gamma=119.85
Space group P1 (No. 1)
Unique sites:
K: 0.000 0.000 0.000
Fe: 0.163 0.857 0.521
Fe: 0.502 0.505 0.524
Fe: 0.600 0.268 0.798
Fe: 0.856 0.165 0.527
Si: 0.263 0.607 0.803
Si: 0.414 0.753 0.250
Si: 0.754 0.417 0.251
O: 0.062 0.568 0.191
O: 0.132 0.143 0.426
O: 0.190 0.551 0.640
O: 0.356 0.936 0.862
O: 0.458 0.814 0.407
O: 0.529 0.559 0.853
O: 0.547 0.183 0.615
O: 0.563 0.565 0.200
O: 0.565 0.066 0.193
O: 0.826 0.467 0.408
O: 0.873 0.869 0.612
O: 0.982 0.387 0.864

***

A plane-wave DFT calculation with GGA+U was carried out for a relaxed CaSmV4O12 crystal.

Unit cell a=7.519 b=7.526 c=7.519 alpha=90.00 beta=90.00 gamma=90.00
Space group Cmmm (No. 65)
Unique sites:
Ca: 0.000 0.000 0.000
Sm: 0.000 0.500 0.500
V: 0.250 0.250 0.248
O: 0.000 0.234 0.252
O: 0.230 0.500 0.255
O: 0.250 0.250 0.000
O: 0.250 0.250 0.500

***

A plane-wave DFT calculation with GGA+U was carried out for a relaxed DyMoBrO4 crystal.

Unit cell a=6.932 b=7.287 c=11.061 alpha=105.48 beta=107.32 gamma=92.97
Space group P-1 (No. 2)
Unique sites:
Dy: 0.109 0.347 0.231
Dy: 0.145 0.121 0.731
Mo: 0.233 0.813 0.134
Mo: 0.274 0.592 0.629
Br: 0.240 0.011 0.483
Br: 0.306 0.283 0.019
O: 0.105 0.020 0.182
O: 0.123 0.647 0.201
O: 0.156 0.796 0.703
O: 0.168 0.726 0.958
O: 0.173 0.506 0.452
O: 0.210 0.415 0.702
O: 0.458 0.355 0.326
O: 0.498 0.134 0.793

***

Number 1: energy relative to the elements -2021 meV/atom. Number 2: energy relative to the elements -1387 meV/atom. Number 3: energy relative to the elements -2654 meV/atom. Number 4: energy relative to the elements -2051 meV/atom. Number 5: energy relative to the elements -2924 meV/atom. Number 6: energy relative to the elements -2406 meV/atom. Number 7: energy relative to the elements -2626 meV/atom. Number 8: energy relative to the elements -2518 meV/atom.